(1)
K2NaPrCl6: relaxed, PBE.

The space group is Fm-3m (No. 225) and the conventional cell measures 10.9651, 10.9651 and 10.9651 Å, with angles of 90.00, 90.00 and 90.00 degrees. The inequivalent atoms are K at (0.2500, 0.2500, 0.2500), Na at (0.0000, 0.0000, 0.0000), Pr at (0.0000, 0.0000, 0.5000) and Cl at (0.0000, 0.0000, 0.2501).

For the calculated density, the calculation gives 2.291 g cm⁻³. Its total energy is -3.963 eV per atom. The total energy after the MP2020 corrections is -4.332 eV per atom.

---

(2)
K2NaSmCl6: relaxed, PBE.

The space group is Fm-3m (No. 225) and the conventional cell measures 10.8531, 10.8531 and 10.8531 Å, with angles of 90.00, 90.00 and 90.00 degrees. The inequivalent atoms are K at (0.2500, 0.2500, 0.2500), Na at (0.0000, 0.0000, 0.0000), Sm at (0.0000, 0.0000, 0.5000) and Cl at (0.0000, 0.0000, 0.2525).

For the calculated density, the calculation gives 2.412 g cm⁻³. Its total energy is -3.975 eV per atom. The total energy after the MP2020 corrections is -4.344 eV per atom.

---

(3)
K2NaTaCl6: relaxed, PBE.

The space group is Fm-3m (No. 225) and the conventional cell measures 10.3987, 10.3987 and 10.3987 Å, with angles of 90.00, 90.00 and 90.00 degrees. The inequivalent atoms are K at (0.2500, 0.2500, 0.2500), Na at (0.0000, 0.0000, 0.0000), Ta at (0.0000, 0.0000, 0.5000) and Cl at (0.0000, 0.0000, 0.2622).

For the calculated density, the calculation gives 2.923 g cm⁻³. Its total energy is -4.172 eV per atom. The total energy after the MP2020 corrections is -4.541 eV per atom.

---

(4)
K2NaTmCl6: relaxed, PBE.

The space group is Fm-3m (No. 225) and the conventional cell measures 10.6546, 10.6546 and 10.6546 Å, with angles of 90.00, 90.00 and 90.00 degrees. The inequivalent atoms are K at (0.2500, 0.2500, 0.2500), Na at (0.0000, 0.0000, 0.0000), Tm at (0.0000, 0.0000, 0.5000) and Cl at (0.0000, 0.0000, 0.2568).

For the calculated density, the calculation gives 2.652 g cm⁻³. Its total energy is -3.976 eV per atom. The total energy after the MP2020 corrections is -4.344 eV per atom.

---

What did the fourth record say?
K2NaTmCl6: relaxed, PBE.

The space group is Fm-3m (No. 225) and the conventional cell measures 10.6546, 10.6546 and 10.6546 Å, with angles of 90.00, 90.00 and 90.00 degrees. The inequivalent atoms are K at (0.2500, 0.2500, 0.2500), Na at (0.0000, 0.0000, 0.0000), Tm at (0.0000, 0.0000, 0.5000) and Cl at (0.0000, 0.0000, 0.2568).

For the calculated density, the calculation gives 2.652 g cm⁻³. Its total energy is -3.976 eV per atom. The total energy after the MP2020 corrections is -4.344 eV per atom.

---

- Look up the total energy after the MP2020 corrections of the fourth one.
  -4.344 eV per atom

---

What did the fourth record say?
K2NaTmCl6: relaxed, PBE.

The space group is Fm-3m (No. 225) and the conventional cell measures 10.6546, 10.6546 and 10.6546 Å, with angles of 90.00, 90.00 and 90.00 degrees. The inequivalent atoms are K at (0.2500, 0.2500, 0.2500), Na at (0.0000, 0.0000, 0.0000), Tm at (0.0000, 0.0000, 0.5000) and Cl at (0.0000, 0.0000, 0.2568).

For the calculated density, the calculation gives 2.652 g cm⁻³. Its total energy is -3.976 eV per atom. The total energy after the MP2020 corrections is -4.344 eV per atom.

---

- Among the records above, which one has the lowest total energy after the MP2020 corrections?
  K2NaTaCl6